NbSnP3O12: optimized geometry, PBE.

Cell lengths 8.779, 8.779, 22.701 Å; angles 90.00, 90.00, 120.00 degrees
Atoms (fractional coordinates):
1 O 0.164 0.695 0.760
2 O 0.506 0.861 0.075
3 O 0.299 0.457 0.472
4 O 0.531 0.695 0.260
5 O 0.032 0.200 0.195
6 O 0.466 0.165 0.528
7 O 0.355 0.861 0.575
8 O 0.805 0.828 0.908
9 O 0.633 0.509 0.639
10 O 0.698 0.534 0.528
11 O 0.472 0.161 0.242
12 O 0.210 0.034 0.305
13 O 0.689 0.161 0.742
14 O 0.158 0.701 0.472
15 O 0.835 0.302 0.528
16 O 0.164 0.469 0.260
17 O 0.972 0.803 0.093
18 O 0.197 0.169 0.093
19 O 0.466 0.302 0.028
20 O 0.800 0.831 0.195
21 O 0.305 0.836 0.260
22 O 0.172 0.978 0.908
23 O 0.972 0.169 0.593
24 O 0.502 0.867 0.362
25 O 0.966 0.790 0.805
26 O 0.506 0.645 0.575
27 O 0.502 0.635 0.862
28 O 0.022 0.828 0.408
29 O 0.543 0.842 0.472
30 O 0.355 0.494 0.075
31 O 0.139 0.645 0.075
32 O 0.472 0.311 0.742
33 O 0.689 0.528 0.242
34 O 0.831 0.028 0.093
35 O 0.966 0.175 0.305
36 O 0.305 0.469 0.760
37 O 0.022 0.195 0.908
38 O 0.158 0.457 0.972
39 O 0.365 0.867 0.862
40 O 0.365 0.498 0.362
41 O 0.839 0.528 0.742
42 O 0.543 0.701 0.972
43 O 0.639 0.136 0.426
44 O 0.497 0.361 0.426
45 O 0.831 0.803 0.593
46 O 0.531 0.836 0.760
47 O 0.876 0.367 0.639
48 O 0.491 0.124 0.639
49 O 0.169 0.200 0.695
50 O 0.698 0.165 0.028
51 O 0.800 0.968 0.695
52 O 0.876 0.509 0.139
53 O 0.491 0.367 0.139
54 O 0.133 0.498 0.862
55 O 0.839 0.311 0.242
56 O 0.825 0.790 0.305
57 O 0.825 0.034 0.805
58 O 0.633 0.124 0.139
59 O 0.197 0.028 0.593
60 O 0.835 0.534 0.028
61 O 0.299 0.842 0.972
62 O 0.032 0.831 0.695
63 O 0.169 0.968 0.195
64 O 0.139 0.494 0.575
65 O 0.639 0.503 0.926
66 O 0.172 0.195 0.408
67 O 0.805 0.978 0.408
68 O 0.497 0.136 0.926
69 O 0.210 0.175 0.805
70 O 0.133 0.635 0.362
71 O 0.864 0.503 0.426
72 O 0.864 0.361 0.926
73 Nb 0.667 0.333 0.975
74 Nb 0.667 0.333 0.475
75 Nb 0.333 0.667 0.808
76 Nb 0.000 0.000 0.642
77 Nb 0.000 0.000 0.142
78 Nb 0.333 0.667 0.308
79 P 0.382 0.337 0.083
80 P 0.330 0.378 0.416
81 P 0.288 0.004 0.250
82 P 0.330 0.951 0.916
83 P 0.622 0.670 0.916
84 P 0.663 0.045 0.083
85 P 0.622 0.951 0.416
86 P 0.716 0.004 0.750
87 P 0.663 0.618 0.583
88 P 0.288 0.284 0.750
89 P 0.955 0.337 0.583
90 P 0.996 0.712 0.750
91 P 0.382 0.045 0.583
92 P 0.955 0.618 0.083
93 P 0.996 0.284 0.250
94 P 0.049 0.670 0.416
95 P 0.716 0.712 0.250
96 P 0.049 0.378 0.916
97 Sn 0.333 0.667 0.521
98 Sn 0.333 0.667 0.021
99 Sn 0.000 0.000 0.854
100 Sn 0.667 0.333 0.188
101 Sn 0.667 0.333 0.688
102 Sn 0.000 0.000 0.354

Computed properties:
As for the total DFT energy (no corrections): -7.492 eV per atom. The total magnetization comes out at 0.0 μB/f.u.



Sr4Nb3PO14: optimized geometry, PBE.

Cell lengths 4.070, 5.788, 13.324 Å; angles 93.72, 98.46, 90.18 degrees
Atoms (fractional coordinates):
1 O 0.210 0.294 0.410
2 O 0.384 0.516 0.688
3 O 0.915 0.610 0.786
4 O 0.780 0.779 0.609
5 O 0.655 0.988 0.308
6 O 0.455 0.898 0.895
7 O 0.818 0.349 0.599
8 O 0.549 0.435 0.093
9 O 0.108 0.694 0.215
10 O 0.997 0.190 0.981
11 O 0.004 0.679 0.000
12 O 0.218 0.815 0.436
13 O 0.093 0.171 0.186
14 O 0.891 0.109 0.772
15 Sr 0.554 0.958 0.107
16 Sr 0.723 0.558 0.431
17 Sr 0.444 0.437 0.879
18 Sr 0.294 0.069 0.613
19 Nb 0.168 0.018 0.331
20 Nb 0.055 0.460 0.112
21 Nb 0.948 0.932 0.881
22 P 0.738 0.562 0.669

Computed properties:
As for the total DFT energy (no corrections): -7.871 eV per atom. The total magnetization comes out at 0.0 μB/f.u. The distance to the lowest polymorph of the same formula is 0 meV/atom. As for the symmetry: No. 1.



Sr4Nb3PO14: optimized geometry, PBE.

Cell lengths 4.050, 5.737, 13.555 Å; angles 93.67, 98.66, 90.43 degrees
Atoms (fractional coordinates):
1 O 0.356 0.492 0.706
2 O 0.088 0.119 0.176
3 O 0.010 0.638 0.018
4 O 0.200 0.287 0.399
5 O 0.791 0.301 0.575
6 O 0.938 0.754 0.822
7 O 0.218 0.813 0.436
8 O 0.552 0.405 0.102
9 O 0.891 0.198 0.784
10 O 0.801 0.779 0.607
11 O 0.653 0.972 0.306
12 O 0.485 0.984 0.875
13 O 0.119 0.645 0.238
14 O 0.022 0.121 0.966
15 Sr 0.297 0.051 0.597
16 Sr 0.536 0.955 0.079
17 Sr 0.421 0.471 0.901
18 Sr 0.708 0.553 0.418
19 Nb 0.161 0.004 0.325
20 Nb 0.840 0.525 0.683
21 Nb 0.061 0.442 0.128
22 P 0.851 0.011 0.861

Computed properties:
As for the total DFT energy (no corrections): -7.852 eV per atom. The total magnetization comes out at 0.0 μB/f.u. The distance to the lowest polymorph of the same formula is 19 meV/atom. As for the symmetry: No. 1.



Ti5NbP6O24: optimized geometry, PBE.

Cell lengths 8.439, 8.439, 8.439 Å; angles 63.42, 63.42, 63.42 degrees
Atoms (fractional coordinates):
1 Nb 0.863 0.863 0.863
2 O 0.885 0.681 0.500
3 O 0.760 0.409 0.551
4 O 0.182 0.383 0.996
5 O 0.240 0.600 0.440
6 O 0.440 0.240 0.600
7 O 0.256 0.057 0.903
8 O 0.607 0.008 0.825
9 O 0.731 0.943 0.108
10 O 0.409 0.551 0.760
11 O 0.008 0.825 0.607
12 O 0.551 0.760 0.409
13 O 0.495 0.113 0.330
14 O 0.943 0.108 0.731
15 O 0.057 0.903 0.256
16 O 0.681 0.500 0.885
17 O 0.600 0.440 0.240
18 O 0.825 0.607 0.008
19 O 0.108 0.731 0.943
20 O 0.383 0.996 0.182
21 O 0.113 0.330 0.495
22 O 0.903 0.256 0.057
23 O 0.500 0.885 0.681
24 O 0.330 0.495 0.113
25 O 0.996 0.182 0.383
26 P 0.043 0.753 0.453
27 P 0.753 0.453 0.043
28 P 0.958 0.260 0.533
29 P 0.453 0.043 0.753
30 P 0.260 0.533 0.958
31 P 0.533 0.958 0.260
32 Ti 0.362 0.362 0.362
33 Ti 0.994 0.994 0.994
34 Ti 0.498 0.498 0.498
35 Ti 0.641 0.641 0.641
36 Ti 0.141 0.141 0.141

Computed properties:
As for the total DFT energy (no corrections): -8.011 eV per atom. The total magnetization comes out at 3.0 μB/f.u. As for the symmetry: No. 146.



NbTl2PO6: optimized geometry, PBE.

Cell lengths 15.986, 15.986, 15.986 Å; angles 32.23, 32.23, 32.23 degrees
Atoms (fractional coordinates):
1 Nb 0.508 0.996 0.756
2 Nb 0.244 0.492 0.004
3 Nb 0.492 0.004 0.244
4 Nb 0.996 0.756 0.508
5 Nb 0.004 0.244 0.492
6 Nb 0.756 0.508 0.996
7 O 0.081 0.757 0.953
8 O 0.103 0.794 0.475
9 O 0.457 0.124 0.302
10 O 0.054 0.431 0.242
11 O 0.771 0.450 0.568
12 O 0.302 0.457 0.124
13 O 0.242 0.054 0.431
14 O 0.953 0.081 0.757
15 O 0.569 0.758 0.946
16 O 0.451 0.451 0.451
17 O 0.543 0.876 0.698
18 O 0.876 0.698 0.543
19 O 0.946 0.569 0.758
20 O 0.698 0.543 0.876
21 O 0.549 0.549 0.549
22 O 0.883 0.883 0.883
23 O 0.117 0.117 0.117
24 O 0.794 0.475 0.103
25 O 0.919 0.243 0.047
26 O 0.757 0.953 0.081
27 O 0.206 0.525 0.897
28 O 0.124 0.302 0.457
29 O 0.431 0.242 0.054
30 O 0.229 0.550 0.432
31 O 0.660 0.660 0.660
32 O 0.047 0.919 0.243
33 O 0.340 0.340 0.340
34 O 0.243 0.047 0.919
35 O 0.568 0.771 0.450
36 O 0.450 0.568 0.771
37 O 0.432 0.229 0.550
38 O 0.550 0.432 0.229
39 O 0.758 0.946 0.569
40 O 0.475 0.103 0.794
41 O 0.525 0.897 0.206
42 O 0.897 0.206 0.525
43 Tl 0.107 0.310 0.669
44 Tl 0.413 0.815 0.191
45 Tl 0.815 0.191 0.413
46 Tl 0.690 0.331 0.893
47 Tl 0.809 0.587 0.185
48 Tl 0.310 0.669 0.107
49 Tl 0.893 0.690 0.331
50 Tl 0.587 0.185 0.809
51 Tl 0.331 0.893 0.690
52 Tl 0.669 0.107 0.310
53 Tl 0.185 0.809 0.587
54 Tl 0.191 0.413 0.815
55 P 0.582 0.582 0.582
56 P 0.917 0.917 0.917
57 P 0.306 0.306 0.306
58 P 0.418 0.418 0.418
59 P 0.694 0.694 0.694
60 P 0.083 0.083 0.083

Computed properties:
As for the total DFT energy (no corrections): -7.002 eV per atom. The total magnetization comes out at 0.0 μB/f.u. As for the symmetry: No. 148.



Nb5ZnP9O36: optimized geometry, PBE.

Cell lengths 8.795, 8.795, 22.682 Å; angles 90.00, 90.00, 120.00 degrees
Atoms (fractional coordinates):
1 P 0.049 0.666 0.416
2 P 0.383 0.050 0.585
3 P 0.667 0.617 0.585
4 P 0.383 0.333 0.085
5 P 0.617 0.666 0.916
6 P 0.667 0.050 0.085
7 P 0.617 0.951 0.416
8 P 0.994 0.710 0.749
9 P 0.290 0.006 0.249
10 P 0.049 0.383 0.916
11 P 0.334 0.383 0.416
12 P 0.716 0.006 0.749
13 P 0.950 0.333 0.585
14 P 0.716 0.710 0.249
15 P 0.994 0.284 0.249
16 P 0.290 0.284 0.749
17 P 0.334 0.951 0.916
18 P 0.950 0.617 0.085
19 O 0.191 0.021 0.305
20 O 0.353 0.862 0.570
21 O 0.639 0.135 0.427
22 O 0.167 0.465 0.261
23 O 0.880 0.373 0.639
24 O 0.195 0.170 0.092
25 O 0.830 0.025 0.092
26 O 0.304 0.837 0.971
27 O 0.802 0.828 0.907
28 O 0.496 0.135 0.927
29 O 0.033 0.199 0.195
30 O 0.509 0.647 0.570
31 O 0.801 0.967 0.695
32 O 0.979 0.809 0.805
33 O 0.026 0.828 0.407
34 O 0.195 0.025 0.592
35 O 0.535 0.702 0.261
36 O 0.837 0.304 0.528
37 O 0.134 0.636 0.362
38 O 0.191 0.171 0.805
39 O 0.167 0.702 0.761
40 O 0.493 0.373 0.139
41 O 0.838 0.306 0.244
42 O 0.627 0.507 0.639
43 O 0.801 0.835 0.195
44 O 0.493 0.120 0.639
45 O 0.535 0.833 0.761
46 O 0.033 0.835 0.695
47 O 0.829 0.809 0.305
48 O 0.467 0.304 0.028
49 O 0.694 0.532 0.244
50 O 0.830 0.805 0.592
51 O 0.364 0.866 0.862
52 O 0.696 0.163 0.028
53 O 0.304 0.467 0.471
54 O 0.165 0.967 0.195
55 O 0.172 0.974 0.907
56 O 0.134 0.498 0.862
57 O 0.837 0.533 0.028
58 O 0.829 0.021 0.805
59 O 0.802 0.974 0.407
60 O 0.533 0.696 0.971
61 O 0.979 0.171 0.305
62 O 0.165 0.199 0.695
63 O 0.298 0.833 0.261
64 O 0.026 0.198 0.907
65 O 0.298 0.465 0.761
66 O 0.533 0.837 0.471
67 O 0.172 0.198 0.407
68 O 0.865 0.361 0.927
69 O 0.138 0.491 0.570
70 O 0.364 0.498 0.362
71 O 0.627 0.120 0.139
72 O 0.163 0.467 0.971
73 O 0.694 0.162 0.744
74 O 0.639 0.504 0.927
75 O 0.468 0.306 0.744
76 O 0.502 0.866 0.362
77 O 0.975 0.805 0.092
78 O 0.865 0.504 0.427
79 O 0.353 0.491 0.070
80 O 0.496 0.361 0.427
81 O 0.138 0.647 0.070
82 O 0.502 0.636 0.862
83 O 0.696 0.533 0.528
84 O 0.509 0.862 0.070
85 O 0.880 0.507 0.139
86 O 0.468 0.162 0.244
87 O 0.467 0.163 0.528
88 O 0.838 0.532 0.744
89 O 0.975 0.170 0.592
90 O 0.163 0.696 0.471
91 Nb 0.333 0.667 0.025
92 Nb 0.333 0.667 0.306
93 Nb 0.000 0.000 0.355
94 Nb 0.333 0.667 0.806
95 Nb 0.000 0.000 0.143
96 Nb 0.667 0.333 0.478
97 Nb 0.333 0.667 0.525
98 Nb 0.000 0.000 0.643
99 Nb 0.000 0.000 0.855
100 Nb 0.667 0.333 0.978
101 Zn 0.667 0.333 0.190
102 Zn 0.667 0.333 0.690

Computed properties:
As for the total DFT energy (no corrections): -7.788 eV per atom. The total magnetization comes out at 0.0 μB/f.u. As for the symmetry: No. 158.